! Nd3MnAlS7, optimized geometry, DFT PBE-GGA; values from VASP
&SYSTEM
  ibrav = 0, nat = 24, ntyp = 4
/
ATOMIC_SPECIES
Nd 144.24 Nd.upf
Mn 54.94 Mn.upf
Al 26.98 Al.upf
S 32.06 S.upf
CELL_PARAMETERS angstrom
5.002 -8.663 0.000
5.002 8.663 0.000
0.000 0.000 6.111
ATOMIC_POSITIONS angstrom
Nd 2.617 1.994 1.475
Nd 7.386 -1.994 4.530
Nd 6.968 1.270 1.475
Nd 5.420 5.399 1.475
Nd 4.583 -5.399 4.530
Nd 3.035 -1.270 4.530
Mn 0.000 0.000 0.128
Mn 0.000 0.000 3.184
Al 5.002 2.888 4.052
Al 5.002 -2.888 0.996
S 5.002 2.888 0.172
S 5.002 -2.888 3.228
S 1.674 1.249 4.857
S 8.329 -1.249 1.801
S 8.084 0.825 4.857
S 5.246 6.589 4.857
S 4.757 -6.589 1.801
S 1.919 -0.825 1.801
S 4.722 0.846 3.146
S 5.281 -0.846 0.090
S 6.910 3.666 3.146
S 3.373 4.151 3.146
S 6.630 -4.151 0.090
S 3.093 -3.666 0.090
! - total moment (μB/atom) = 0.417
! - energy of formation from the pure elements (eV per atom) = -1.92
! - space group = P6_3 (173)
! - crystal system = hexagonal

***

! Ti3SnH, optimized geometry, DFT PBE-GGA; values from VASP
&SYSTEM
  ibrav = 0, nat = 5, ntyp = 3
/
ATOMIC_SPECIES
Ti 47.87 Ti.upf
Sn 118.71 Sn.upf
H 1.01 H.upf
CELL_PARAMETERS angstrom
4.178 0.000 0.000
0.000 4.178 0.000
0.000 0.000 4.178
ATOMIC_POSITIONS angstrom
Ti 2.089 0.000 2.089
Ti 0.000 2.089 2.089
Ti 2.089 2.089 0.000
Sn 0.000 0.000 0.000
H 2.089 2.089 2.089
! - energy of formation from the pure elements (eV per atom) = -0.43
! - space group = Pm-3m (221)
! - crystal system = cubic

***

! CeAlO3, optimized geometry, DFT PBE-GGA; values from VASP
&SYSTEM
  ibrav = 0, nat = 20, ntyp = 3
/
ATOMIC_SPECIES
Ce 140.12 Ce.upf
Al 26.98 Al.upf
O 16.00 O.upf
CELL_PARAMETERS angstrom
-1.848 -4.676 1.834
4.857 -1.163 1.929
-1.836 3.326 6.629
ATOMIC_POSITIONS angstrom
Ce 3.422 1.260 6.920
Ce 0.124 -0.509 6.894
Ce 1.049 -2.004 3.498
Ce -2.249 -3.774 3.472
Al -0.924 -2.338 0.917
Al -1.842 -0.675 4.231
Al 2.429 -0.581 0.964
Al 1.510 1.081 4.279
O 3.234 -2.632 4.418
O 1.364 -2.777 6.390
O 0.536 -1.277 9.379
O 1.229 1.116 8.370
O 2.057 -0.384 5.381
O 2.195 0.176 2.721
O -1.022 -2.689 7.670
O -0.056 -3.629 2.021
O -0.884 -2.129 5.011
O 0.637 -1.236 1.012
O -0.191 0.264 4.002
O -2.061 0.119 5.974
! - total moment (μB/atom) = 0.200
! - energy of formation from the pure elements (eV per atom) = -3.62
! - space group = Pnma (62)
! - crystal system = orthorhombic

***

! LiPr2Zn2P2O2, optimized geometry, DFT PBE-GGA; values from VASP
&SYSTEM
  ibrav = 0, nat = 9, ntyp = 5
/
ATOMIC_SPECIES
Li 6.94 Li.upf
Pr 140.91 Pr.upf
Zn 65.41 Zn.upf
P 30.97 P.upf
O 16.00 O.upf
CELL_PARAMETERS angstrom
0.222 11.224 1.585
-1.052 10.013 5.211
2.873 10.661 4.569
ATOMIC_POSITIONS angstrom
Li 0.634 24.790 8.498
Pr 1.227 19.538 6.955
Pr 0.214 11.794 4.014
Zn 0.871 6.216 2.383
Zn -0.129 15.182 5.021
P 2.178 13.890 5.403
P 2.134 28.156 10.150
O 0.966 21.837 7.630
O 0.475 9.497 3.340
! - total moment (μB/atom) = 0.000
! - energy of formation from the pure elements (eV per atom) = -1.71
! - space group = Cm (8)
! - crystal system = monoclinic

***

! Hg19As10Br18, optimized geometry, DFT PBE-GGA; values from VASP
&SYSTEM
  ibrav = 0, nat = 47, ntyp = 3
/
ATOMIC_SPECIES
Hg 200.59 Hg.upf
As 74.92 As.upf
Br 79.90 Br.upf
CELL_PARAMETERS angstrom
11.619 0.000 0.000
-3.664 11.063 0.000
-3.564 -4.907 11.202
ATOMIC_POSITIONS angstrom
Hg -1.832 5.532 0.000
Hg -2.156 3.250 10.056
Hg 6.547 2.905 1.146
Hg 0.765 -3.778 8.755
Hg 3.626 9.934 2.447
Hg 1.132 5.830 9.218
Hg 3.259 0.325 1.984
Hg 2.335 4.250 0.069
Hg 2.056 1.906 11.132
Hg 7.908 -2.614 8.084
Hg -3.517 8.769 3.118
Hg 6.682 1.236 6.667
Hg -2.291 4.920 4.535
Hg -0.830 0.368 6.602
Hg 5.221 5.788 4.600
Hg -0.713 1.768 2.076
Hg 5.104 4.388 9.126
Hg 2.835 -0.572 6.454
Hg 1.557 6.728 4.748
As -1.343 5.725 10.048
As 5.734 0.431 1.154
As -3.006 0.793 10.109
As 7.397 5.363 1.093
As 0.975 0.169 3.205
As 3.416 5.987 7.997
As -3.090 -0.100 7.823
As 7.482 6.256 3.379
As 1.314 1.193 5.445
As 3.077 4.962 5.757
Br 3.581 3.538 2.276
Br 0.810 2.617 8.926
Br -1.702 -3.480 10.429
Br 6.094 9.636 0.773
Br 6.044 -2.590 10.986
Br -1.653 8.746 0.216
Br 4.534 1.591 8.685
Br -0.143 4.565 2.517
Br 1.242 -1.071 9.693
Br 3.149 7.226 1.509
Br 8.721 2.118 3.858
Br -4.329 4.038 7.344
Br 8.434 -1.893 4.650
Br -4.043 8.049 6.552
Br 4.444 -2.256 7.516
Br -0.053 8.411 3.686
Br 5.045 1.483 4.699
Br -0.653 4.672 6.503
! - total moment (μB/atom) = 0.000
! - energy of formation from the pure elements (eV per atom) = -0.52
! - space group = P-1 (2)
! - crystal system = triclinic

***

! Nd4S3Br6, optimized geometry, DFT PBE-GGA; values from VASP
&SYSTEM
  ibrav = 0, nat = 26, ntyp = 3
/
ATOMIC_SPECIES
Nd 144.24 Nd.upf
S 32.06 S.upf
Br 79.90 Br.upf
CELL_PARAMETERS angstrom
-13.732 -6.168 -2.601
-10.507 -6.884 -8.694
2.011 -6.669 1.848
ATOMIC_POSITIONS angstrom
Nd -8.143 -12.488 -4.343
Nd -13.820 -14.940 -7.082
Nd -8.407 -4.781 -2.365
Nd -14.085 -7.233 -5.104
Nd -6.156 -8.392 -3.795
Nd -10.376 -8.881 -2.948
Nd -16.072 -11.329 -5.653
Nd -11.852 -10.840 -6.500
S -7.871 -10.243 -2.560
S -10.774 -11.492 -3.955
S -13.681 -12.740 -5.341
S -14.357 -9.478 -6.888
S -8.547 -6.982 -4.107
S -11.454 -8.229 -5.493
Br -11.911 -6.303 -2.465
Br -10.317 -13.418 -6.983
Br -19.258 -14.055 -9.284
Br -16.702 -14.103 -6.530
Br -3.368 -2.466 -2.236
Br -2.970 -5.666 -0.163
Br -13.857 -9.521 -3.117
Br -8.371 -10.200 -6.331
Br -18.860 -17.255 -7.212
Br -5.054 -8.835 -0.984
Br -17.174 -10.886 -8.464
Br -5.525 -5.619 -2.918
! - energy of formation from the pure elements (eV per atom) = -2.32
! - space group = C2/c (15)
! - crystal system = monoclinic

***

! ScP4Ru6, optimized geometry, DFT PBE-GGA; values from VASP
&SYSTEM
  ibrav = 0, nat = 11, ntyp = 3
/
ATOMIC_SPECIES
Sc 44.96 Sc.upf
P 30.97 P.upf
Ru 101.07 Ru.upf
CELL_PARAMETERS angstrom
2.471 1.816 6.254
-6.007 -3.491 -0.491
1.826 -3.169 0.199
ATOMIC_POSITIONS angstrom
Sc 0.000 0.000 0.000
P -0.867 -2.548 1.083
P -2.424 -3.286 3.621
P -3.512 -4.086 0.867
P -0.355 0.047 4.005
Ru -0.748 -2.244 4.826
Ru 0.704 -1.557 2.461
Ru 1.718 -0.811 5.028
Ru -4.429 -2.398 2.447
Ru -3.042 -1.741 0.185
Ru -2.072 -1.028 2.640
! - energy of formation from the pure elements (eV per atom) = -0.73
! - space group = P-6m2 (187)
! - crystal system = hexagonal

***

! DyB3O6, optimized geometry, DFT PBE-GGA; values from VASP
&SYSTEM
  ibrav = 0, nat = 160, ntyp = 3
/
ATOMIC_SPECIES
Dy 162.50 Dy.upf
B 10.81 B.upf
O 16.00 O.upf
CELL_PARAMETERS angstrom
7.438 0.000 0.000
0.000 12.331 0.000
0.000 0.000 16.045
ATOMIC_POSITIONS angstrom
Dy 1.860 9.457 13.978
Dy 5.579 2.874 2.067
Dy 5.579 3.291 10.089
Dy 1.860 9.040 5.956
Dy 1.860 5.097 8.802
Dy 5.579 7.234 7.243
Dy 5.579 11.263 15.265
Dy 1.860 1.068 0.780
Dy 1.860 0.797 10.801
Dy 5.579 11.534 5.244
Dy 5.579 6.963 13.266
Dy 1.860 5.368 2.779
Dy 1.860 6.052 14.130
Dy 5.579 6.279 1.916
Dy 5.579 12.218 9.938
Dy 1.860 0.114 6.107
B 0.521 10.026 3.481
B 4.168 10.144 7.505
B 0.449 2.187 8.540
B 3.270 3.978 0.518
B 6.989 8.353 15.527
B 3.270 2.187 8.540
B 6.989 10.144 7.505
B 4.168 8.353 15.527
B 0.449 3.978 0.518
B 4.294 12.111 2.451
B 0.575 0.220 13.594
B 3.144 5.946 5.571
B 6.863 6.385 10.474
B 3.144 0.220 13.594
B 6.863 12.111 2.451
B 4.294 6.385 10.474
B 0.575 5.946 5.571
B 4.240 2.305 12.564
B 6.918 3.860 4.541
B 3.199 8.471 11.504
B 6.918 2.305 12.564
B 3.199 10.026 3.481
B 0.521 8.471 11.504
B 4.240 3.860 4.541
B 0.539 10.423 0.906
B 4.258 1.909 15.139
B 6.899 4.257 7.116
B 3.180 8.074 8.929
B 6.899 1.909 15.139
B 3.180 10.423 0.906
B 0.539 8.074 8.929
B 4.258 4.257 7.116
B 0.569 7.930 1.757
B 4.288 4.401 14.288
B 6.869 1.764 6.266
B 3.150 10.567 9.779
B 6.869 4.401 14.288
B 3.150 7.930 1.757
B 0.569 10.567 9.779
B 4.288 1.764 6.266
B 0.513 1.571 3.889
B 4.232 10.760 12.156
B 6.925 7.737 4.134
B 3.206 4.594 11.911
B 6.925 10.760 12.156
B 3.206 1.571 3.889
B 0.513 4.594 11.911
B 4.232 7.737 4.134
O 6.960 7.674 0.768
O 0.142 8.743 7.670
O 3.861 3.588 8.375
O 7.296 2.578 0.353
O 3.577 9.753 15.692
O 7.296 3.588 8.375
O 3.577 8.743 7.670
O 0.142 9.753 15.692
O 3.861 2.578 0.353
O 0.326 10.813 6.479
O 4.045 1.519 9.566
O 7.112 4.647 1.544
O 3.393 7.684 14.502
O 7.112 1.519 9.566
O 3.393 10.813 6.479
O 0.326 7.684 14.502
O 1.860 10.523 3.927
O 5.579 1.808 12.118
O 5.579 4.357 4.095
O 1.860 7.974 11.950
O 1.860 11.058 0.764
O 5.579 1.273 15.281
O 5.579 4.892 7.259
O 1.860 7.439 8.786
O 1.860 7.464 1.262
O 5.579 4.867 14.783
O 5.579 1.299 6.760
O 1.860 11.032 9.285
O 1.860 1.684 4.423
O 5.579 10.647 11.622
O 5.579 7.849 3.599
O 1.860 4.482 12.446
O 1.860 6.657 5.466
O 5.579 5.675 10.579
O 5.579 0.491 2.556
O 1.860 11.840 13.489
O 1.860 3.780 1.064
O 5.579 8.552 14.981
O 5.579 9.945 6.959
O 1.860 2.386 9.086
O 0.543 9.432 2.061
O 4.262 2.900 13.984
O 6.895 3.266 5.962
O 3.176 9.065 10.083
O 6.895 2.900 13.984
O 3.176 9.432 2.061
O 0.543 9.065 10.083
O 4.262 3.266 5.962
O 0.248 7.114 2.963
O 3.967 5.218 13.082
O 7.190 0.948 5.059
O 3.471 11.383 10.986
O 7.190 5.218 13.082
O 3.471 7.114 2.963
O 0.248 11.383 10.986
O 3.967 0.948 5.059
O 0.478 1.509 7.255
O 4.197 10.822 8.790
O 4.045 4.647 1.544
O 3.241 4.657 15.277
O 6.960 10.822 8.790
O 3.241 1.509 7.255
O 0.478 4.657 15.277
O 4.197 7.674 0.768
O 0.146 8.993 4.428
O 3.865 3.338 11.618
O 7.292 2.827 3.595
O 3.573 9.504 12.450
O 7.292 3.338 11.618
O 3.573 8.993 4.428
O 0.146 9.504 12.450
O 3.865 2.827 3.595
O 4.196 11.077 3.496
O 4.201 11.541 13.405
O 6.956 6.956 5.383
O 3.237 5.375 10.662
O 6.956 11.541 13.405
O 3.237 0.790 2.640
O 0.482 5.375 10.662
O 4.201 6.956 5.383
O 0.432 5.325 6.905
O 4.151 7.006 9.140
O 7.006 11.490 1.117
O 3.287 0.841 14.928
O 7.006 7.006 9.140
O 3.287 5.325 6.905
O 0.432 0.841 14.928
O 4.151 11.490 1.117
O 0.477 4.911 4.527
O 4.196 7.420 11.518
O 6.961 11.077 3.496
O 3.242 1.254 12.550
O 6.961 7.420 11.518
O 3.242 4.911 4.527
O 0.477 1.254 12.550
O 0.482 0.790 2.640
! - total moment (μB/atom) = 0.000
! - energy of formation from the pure elements (eV per atom) = -3.20
! - space group = Pnma (62)
! - crystal system = orthorhombic

***

Q: energy of formation from the pure elements of number 8 (DyB3O6)?
A: -3.20 eV per atom